Below is Tm2MgS4 after structural relaxation, with properties calculated at the PBE level.

```
Tm2MgS4
1.0
0.0000 5.5389 5.5389
5.5389 0.0000 5.5389
5.5389 5.5389 0.0000
Tm Mg S
4 2 8
direct
0.6250 0.1250 0.6250
0.6250 0.6250 0.1250
0.1250 0.6250 0.6250
0.6250 0.6250 0.6250
0.0000 0.0000 0.0000
0.2500 0.2500 0.2500
0.3803 0.3803 0.3803
0.8590 0.3803 0.3803
0.3803 0.8590 0.3803
0.3803 0.3803 0.8590
0.8697 0.8697 0.3910
0.8697 0.3910 0.8697
0.3910 0.8697 0.8697
0.8697 0.8697 0.8697
```

Formation enthalpy at 0 K = -2.18 eV per atom
Total DFT energy (no corrections) = -0.4238 Ry/atom
E above lowest polymorph = 0 meV per atom
Space group = Fd-3m, No. 227

---

Below is Tm2MgS4 after structural relaxation, with properties calculated at the PBE level.

```
Tm2MgS4
1.0
13.3465 0.0000 0.0000
0.0000 7.7876 0.0000
0.0000 0.0000 6.4793
Tm Mg S
8 4 16
direct
0.0000 0.0000 0.5000
0.5000 0.0000 0.0000
0.5000 0.5000 0.0000
0.0000 0.5000 0.5000
0.2332 0.7500 0.0014
0.7668 0.2500 0.9986
0.2668 0.2500 0.5014
0.7332 0.7500 0.4986
0.0931 0.2500 0.9234
0.9069 0.7500 0.0766
0.4069 0.7500 0.4234
0.5931 0.2500 0.5766
0.1688 0.0066 0.7395
0.8312 0.9934 0.2605
0.3312 0.9934 0.2395
0.6688 0.0066 0.7605
0.6688 0.4934 0.7605
0.3312 0.5066 0.2395
0.8312 0.5066 0.2605
0.1688 0.4934 0.7395
0.0721 0.7500 0.2499
0.9279 0.2500 0.7501
0.4279 0.2500 0.7499
0.5721 0.7500 0.2501
0.0916 0.2500 0.2924
0.9084 0.7500 0.7076
0.4084 0.7500 0.7924
0.5916 0.2500 0.2076
```

Formation enthalpy at 0 K = -2.16 eV per atom
Total magnetic moment = 0.0 μB per formula unit
Total DFT energy (no corrections) = -0.4218 Ry/atom
E above lowest polymorph = 27 meV per atom
Space group = Pnma, No. 62

---

Below is TmMgS3 after structural relaxation, with properties calculated at the PBE level.

```
TmMgS3
1.0
6.9944 0.0000 -2.8964
0.0000 11.5618 0.0000
-1.5867 0.0000 6.9454
Tm Mg S
4 4 12
direct
0.0275 0.0000 0.2466
0.9725 0.0000 0.7534
0.5275 0.5000 0.2466
0.4725 0.5000 0.7534
0.0000 0.3396 0.0000
0.0000 0.6604 0.0000
0.5000 0.8396 0.0000
0.5000 0.1604 0.0000
0.2260 0.1492 0.1468
0.7740 0.8508 0.8532
0.7740 0.1492 0.8532
0.2260 0.8508 0.1468
0.7260 0.6492 0.1468
0.2740 0.3508 0.8532
0.2740 0.6492 0.8532
0.7260 0.3508 0.1468
0.2936 0.0000 0.7017
0.7064 0.0000 0.2983
0.7936 0.5000 0.7017
0.2064 0.5000 0.2983
```

Formation enthalpy at 0 K = -1.56 eV per atom
Total magnetic moment = 1.0 μB per formula unit
Total DFT energy (no corrections) = -0.3639 Ry/atom
E above lowest polymorph = 90 meV per atom

---

Below is TmMgS3 after structural relaxation, with properties calculated at the PBE level.

```
TmMgS3
1.0
-1.9100 2.5682 -6.1864
2.3925 -6.5339 0.3140
-5.2766 -3.6553 -1.6257
Tm Mg S
2 2 6
direct
0.2003 0.2003 0.6864
0.7997 0.7997 0.3136
0.3370 0.6630 0.0000
0.6630 0.3370 0.0000
0.1110 0.7789 0.8039
0.8890 0.2211 0.1961
0.2211 0.8890 0.1961
0.7789 0.1110 0.8039
0.4620 0.4620 0.2599
0.5380 0.5380 0.7401
```

Formation enthalpy at 0 K = -1.52 eV per atom
Total magnetic moment = 0.0 μB per formula unit
Total DFT energy (no corrections) = -0.3613 Ry/atom
E above lowest polymorph = 126 meV per atom
Space group = C2/m, No. 12